1.
{
  "formula": "NdP2Ru2",
  "functional": "GGA-PBE",
  "state": "optimized geometry",
  "cell": [[-2.039, 2.039, 4.996], [2.039, -2.039, 4.996], [2.039, 2.039, -4.996]],
  "species": ["Nd", "P", "P", "Ru", "Ru"],
  "frac_coords": [[0.000, 0.000, 0.000], [0.369, 0.369, 0.000], [0.631, 0.631, 0.000], [0.250, 0.750, 0.500], [0.750, 0.250, 0.500]],
  "final_energy_ev_per_atom": -7.843,
  "ef_ev_per_atom": -1.015
}

2.
{
  "formula": "NdPS4",
  "functional": "GGA-PBE",
  "state": "optimized geometry",
  "cell": [[-5.521, 5.521, 9.720], [5.521, -5.521, 9.720], [5.521, 5.521, -9.720]],
  "species": ["Nd", "Nd", "Nd", "Nd", "Nd", "Nd", "Nd", "Nd", "P", "P", "P", "P", "P", "P", "P", "P", "S", "S", "S", "S", "S", "S", "S", "S", "S", "S", "S", "S", "S", "S", "S", "S", "S", "S", "S", "S", "S", "S", "S", "S", "S", "S", "S", "S", "S", "S", "S", "S"],
  "frac_coords": [[0.125, 0.375, 0.750], [0.125, 0.875, 0.250], [0.375, 0.125, 0.250], [0.375, 0.625, 0.750], [0.625, 0.375, 0.250], [0.625, 0.875, 0.750], [0.875, 0.125, 0.750], [0.875, 0.625, 0.250], [0.213, 0.250, 0.463], [0.250, 0.287, 0.037], [0.250, 0.787, 0.537], [0.287, 0.750, 0.037], [0.713, 0.250, 0.963], [0.750, 0.213, 0.463], [0.750, 0.713, 0.963], [0.787, 0.750, 0.537], [0.091, 0.884, 0.478], [0.094, 0.387, 0.978], [0.097, 0.664, 0.936], [0.113, 0.406, 0.522], [0.116, 0.094, 0.207], [0.161, 0.097, 0.933], [0.164, 0.597, 0.436], [0.228, 0.161, 0.564], [0.272, 0.836, 0.933], [0.336, 0.772, 0.433], [0.339, 0.272, 0.936], [0.384, 0.591, 0.978], [0.387, 0.909, 0.293], [0.403, 0.339, 0.567], [0.406, 0.384, 0.293], [0.409, 0.887, 0.793], [0.591, 0.113, 0.207], [0.594, 0.616, 0.707], [0.597, 0.661, 0.433], [0.613, 0.091, 0.707], [0.616, 0.409, 0.022], [0.661, 0.728, 0.064], [0.664, 0.228, 0.567], [0.728, 0.164, 0.067], [0.772, 0.839, 0.436], [0.836, 0.403, 0.564], [0.839, 0.903, 0.067], [0.884, 0.906, 0.793], [0.887, 0.594, 0.478], [0.903, 0.336, 0.064], [0.906, 0.613, 0.022], [0.909, 0.116, 0.522]],
  "final_energy_ev_per_atom": -5.518,
  "ef_ev_per_atom": -1.399
}

3.
{
  "formula": "NdTlP2S7",
  "functional": "GGA-PBE",
  "state": "optimized geometry",
  "cell": [[9.892, 0.000, 0.000], [0.000, 12.526, 0.000], [-0.077, 0.000, 9.098]],
  "species": ["Nd", "Nd", "Nd", "Nd", "Tl", "Tl", "Tl", "Tl", "P", "P", "P", "P", "P", "P", "P", "P", "S", "S", "S", "S", "S", "S", "S", "S", "S", "S", "S", "S", "S", "S", "S", "S", "S", "S", "S", "S", "S", "S", "S", "S", "S", "S", "S", "S"],
  "frac_coords": [[0.144, 0.143, 0.393], [0.144, 0.357, 0.893], [0.856, 0.643, 0.107], [0.856, 0.857, 0.607], [0.396, 0.689, 0.872], [0.396, 0.811, 0.372], [0.604, 0.189, 0.628], [0.604, 0.311, 0.128], [0.186, 0.537, 0.197], [0.186, 0.963, 0.697], [0.276, 0.101, 0.023], [0.276, 0.399, 0.523], [0.724, 0.601, 0.477], [0.724, 0.899, 0.977], [0.814, 0.037, 0.303], [0.814, 0.463, 0.803], [0.020, 0.058, 0.678], [0.020, 0.442, 0.178], [0.092, 0.167, 0.072], [0.092, 0.333, 0.572], [0.148, 0.692, 0.147], [0.148, 0.808, 0.647], [0.251, 0.553, 0.422], [0.251, 0.947, 0.922], [0.336, 0.023, 0.570], [0.336, 0.477, 0.070], [0.368, 0.056, 0.211], [0.368, 0.444, 0.711], [0.372, 0.206, 0.890], [0.372, 0.294, 0.390], [0.628, 0.706, 0.610], [0.628, 0.794, 0.110], [0.632, 0.556, 0.289], [0.632, 0.944, 0.789], [0.664, 0.523, 0.930], [0.664, 0.977, 0.430], [0.749, 0.053, 0.078], [0.749, 0.447, 0.578], [0.852, 0.192, 0.353], [0.852, 0.308, 0.853], [0.908, 0.667, 0.428], [0.908, 0.833, 0.928], [0.980, 0.558, 0.822], [0.980, 0.942, 0.322]],
  "final_energy_ev_per_atom": -5.014,
  "ef_ev_per_atom": -1.069
}